No. 1
This record from the Materials Project database describes a geometry-optimized Hf6Al2Fe structure. The functional is PBE.

Lattice parameters (Å, degrees): 7.8627 7.8627 3.2660 90.00 90.00 120.00
With the nearest neighbours (Å) after each atom.
Space group P-62m (No. 189)
Asymmetric unit:
Hf: 0.0000 0.3961 0.0000 (multiplicity 3)  4 Al 2.91, 1 Fe 3.11, 6 Hf 3.18-3.23
Hf: 0.0000 0.7502 0.5000 (multiplicity 3)  2 Fe 2.55
Al: 0.3333 0.6667 0.5000 (multiplicity 2)  9 Hf 2.91-3.00
Fe: 0.0000 0.0000 0.0000 (multiplicity 1)  6 Hf 2.55

Final energy ... -8.702 eV/atom
ΔH_f (0 K) ... -290.2 meV/atom

No. 2
This record from the Materials Project database describes a geometry-optimized HfAl8Fe4 structure. The functional is PBE.

Lattice parameters (Å, degrees): 8.5690 8.5690 4.9901 90.00 90.00 90.00
With the nearest neighbours (Å) after each atom.
Space group I4/mmm (No. 139)
Asymmetric unit:
Hf: 0.0000 0.0000 0.0000 (multiplicity 2)  12 Al 2.89-3.11
Al: 0.0000 0.2170 0.5000 (multiplicity 8)  4 Fe 2.50, 4 Al 2.63-2.70
Al: 0.0000 0.3373 0.0000 (multiplicity 8)  4 Fe 2.59, 5 Al 2.70-2.80, 1 Hf 2.89
Fe: 0.2500 0.2500 0.2500 (multiplicity 8)  2 Fe 2.50, 8 Al 2.50-2.59

Final energy ... -6.086 eV/atom
ΔH_f (0 K) ... -408.6 meV/atom

No. 3
This record from the Materials Project database describes a geometry-optimized HfAlFe structure. The functional is PBE.

Lattice parameters (Å, degrees): 8.2789 5.0866 8.8617 90.00 90.00 90.00
With the nearest neighbours (Å) after each atom.
Space group Amm2 (No. 38)
Asymmetric unit:
Hf: 0.1817 0.0000 0.0000 (multiplicity 4)  7 Fe 2.95-3.00, 5 Al 2.95-3.02, 4 Hf 3.01-3.10
Hf: 0.2949 0.0000 0.6697 (multiplicity 4)  5 Fe 2.84-3.04, 7 Al 2.87-3.09, 3 Hf 3.07-3.10
Al: 0.0000 0.0000 0.4997 (multiplicity 2)  6 Fe 2.53-2.56
Al: 0.5000 0.0000 0.1666 (multiplicity 2)  4 Al 2.54-2.57, 2 Fe 2.56
Al: 0.5000 0.2484 0.4157 (multiplicity 4)  4 Al 2.53-2.57, 2 Fe 2.57
Fe: 0.0000 0.2494 0.2483 (multiplicity 4)  4 Fe 2.50-2.55, 2 Al 2.54-2.56
Fe: 0.2453 0.0000 0.3298 (multiplicity 4)  2 Fe 2.50, 4 Al 2.53-2.57

Final energy ... -7.791 eV/atom
ΔH_f (0 K) ... -400.5 meV/atom

No. 4
This record from the Materials Project database describes a geometry-optimized HoAl6Fe6 structure. The functional is PBE.

Lattice parameters (Å, degrees): 4.9944 8.4862 8.6522 90.00 90.00 90.00
With the nearest neighbours (Å) after each atom.
Space group Immm (No. 71)
Asymmetric unit:
Ho: 0.0000 0.0000 0.0000 (multiplicity 2)  8 Al 2.85-3.01
Al: 0.0000 0.0000 0.3470 (multiplicity 4)  6 Fe 2.59-2.60, 3 Al 2.65-2.83
Al: 0.0000 0.3362 0.0000 (multiplicity 4)  6 Fe 2.60-2.63, 1 Al 2.78, 1 Ho 2.85
Al: 0.0000 0.5000 0.3061 (multiplicity 4)  6 Fe 2.51-2.63
Fe: 0.0000 0.2618 0.5000 (multiplicity 4)  4 Fe 2.50, 6 Al 2.59-2.63
Fe: 0.2500 0.2500 0.2500 (multiplicity 8)  4 Fe 2.50, 6 Al 2.51-2.60

Final energy ... -6.380 eV/atom
ΔH_f (0 K) ... -389.6 meV/atom

No. 5
This record from the Materials Project database describes a geometry-optimized HoAl8Fe4 structure. The functional is PBE.

Lattice parameters (Å, degrees): 8.6876 8.6876 5.0200 90.00 90.00 90.00
With the nearest neighbours (Å) after each atom.
Space group I4/mmm (No. 139)
Asymmetric unit:
Ho: 0.0000 0.0000 0.0000 (multiplicity 2)  12 Al 2.95-3.16
Al: 0.0000 0.2205 0.5000 (multiplicity 8)  4 Fe 2.52, 6 Al 2.71-2.80
Al: 0.0000 0.3401 0.0000 (multiplicity 8)  4 Fe 2.63, 5 Al 2.72-2.80
Fe: 0.2500 0.2500 0.2500 (multiplicity 8)  2 Fe 2.51, 8 Al 2.52-2.63

Final energy ... -5.695 eV/atom
ΔH_f (0 K) ... -431.4 meV/atom

No. 6
This record from the Materials Project database describes a geometry-optimized Ho2Al3Fe structure. The functional is PBE.

Lattice parameters (Å, degrees): 5.5058 5.5058 13.0301 90.00 90.00 120.00
With the nearest neighbours (Å) after each atom.
Space group R-3m (No. 166, hexagonal axes)
Asymmetric unit:
Ho: 0.0000 0.0000 0.1264 (multiplicity 6)  9 Al 3.13-3.21, 3 Fe 3.22, 4 Ho 3.29-3.35
Al: 0.0000 0.5000 0.0000 (multiplicity 9)  2 Fe 2.69, 4 Al 2.75
Fe: 0.0000 0.0000 0.5000 (multiplicity 3)  6 Al 2.69

Final energy ... -5.219 eV/atom
ΔH_f (0 K) ... -407.1 meV/atom

No. 7
This record from the Materials Project database describes a geometry-optimized LaAl10Fe2 structure. The functional is PBE.

Lattice parameters (Å, degrees): 9.0148 10.2409 9.0642 90.00 90.00 90.00
With the nearest neighbours (Å) after each atom.
Space group Cmcm (No. 63)
Asymmetric unit:
La: 0.0000 0.1227 0.2500 (multiplicity 4)  14 Al 3.17-3.32, 4 Fe 3.45
Al: 0.0000 0.1615 0.5991 (multiplicity 8)  6 Al 2.56-2.83, 2 Fe 2.59
Al: 0.0000 0.3757 0.0468 (multiplicity 8)  6 Al 2.56-2.78, 2 Fe 2.63
Al: 0.1485 0.3704 0.7500 (multiplicity 8)  7 Al 2.62-2.87, 2 Fe 2.74
Al: 0.2269 0.3605 0.2500 (multiplicity 8)  2 Fe 2.54, 8 Al 2.62-2.85
Al: 0.2303 0.0000 0.0000 (multiplicity 8)  2 Fe 2.57, 8 Al 2.71-2.84
Fe: 0.2500 0.2500 0.0000 (multiplicity 8)  10 Al 2.54-2.74

Final energy ... -4.915 eV/atom
ΔH_f (0 K) ... -351.0 meV/atom

No. 8
This record from the Materials Project database describes a geometry-optimized LaAl8Fe2 structure. The functional is PBE.

Lattice parameters (Å, degrees): 12.6191 14.4145 4.0539 90.00 90.00 90.00
With the nearest neighbours (Å) after each atom.
Space group Pbam (No. 55)
Asymmetric unit:
La: 0.1601 0.1810 0.0000 (multiplicity 4)  13 Al 3.19-3.37
Al: 0.0000 0.0000 0.0000 (multiplicity 2)  2 Fe 2.35
Al: 0.0000 0.5000 0.5000 (multiplicity 2)  4 Fe 2.44, 4 Al 2.64
Al: 0.0269 0.8680 0.5000 (multiplicity 4)  2 Fe 2.59, 7 Al 2.67-2.89
Al: 0.0477 0.3217 0.5000 (multiplicity 4)  2 Fe 2.60, 6 Al 2.64-2.89
Al: 0.0937 0.7461 0.0000 (multiplicity 4)  2 Fe 2.35-2.37
Al: 0.1577 0.6200 0.5000 (multiplicity 4)  2 Fe 2.60, 5 Al 2.64-2.84
Al: 0.1648 0.4537 0.0000 (multiplicity 4)  3 Fe 2.46-2.58
Al: 0.1678 0.0063 0.5000 (multiplicity 4)  2 Fe 2.53, 3 Al 2.67-2.74
Al: 0.2336 0.8289 0.5000 (multiplicity 4)  2 Fe 2.52, 3 Al 2.67-2.76
Fe: 0.0336 0.5901 0.0000 (multiplicity 4)  9 Al 2.37-2.60
Fe: 0.1493 0.9020 0.0000 (multiplicity 4)  9 Al 2.35-2.59

Final energy ... -5.126 eV/atom
ΔH_f (0 K) ... -413.5 meV/atom

No. 9
This record from the Materials Project database describes a geometry-optimized La6Al3Fe11 structure. The functional is PBE.

Lattice parameters (Å, degrees): 8.1503 8.1503 23.8771 90.00 90.00 90.00
With the nearest neighbours (Å) after each atom.
Space group I4cm (No. 108)
Asymmetric unit:
La: 0.0000 0.0000 0.0000 (multiplicity 4)  8 Fe 3.12-3.24, 5 Al 3.28-3.44
La: 0.0000 0.0000 0.2112 (multiplicity 4)  12 Fe 3.08-3.30
La: 0.1679 0.3321 0.2906 (multiplicity 8)  4 Fe 3.04-3.37
La: 0.1695 0.3305 0.9168 (multiplicity 8)  1 Fe 3.20, 5 Al 3.33-3.38, 1 La 3.55
Al: 0.0000 0.0000 0.3561 (multiplicity 4)  10 La 3.36-3.46
Al: 0.1181 0.3819 0.5146 (multiplicity 8)  6 Fe 2.53-2.63, 1 Al 2.72
Fe: 0.0000 0.5000 0.1068 (multiplicity 4)  10 Fe 2.42-2.53, 2 Al 2.59
Fe: 0.0688 0.2105 0.6064 (multiplicity 16)  9 Fe 2.42-2.63, 1 Al 2.63
Fe: 0.1132 0.3868 0.6974 (multiplicity 8)  7 Fe 2.53-2.63
Fe: 0.1758 0.3242 0.0507 (multiplicity 8)  6 Fe 2.43-2.69, 3 Al 2.53-2.59
Fe: 0.1785 0.3215 0.1634 (multiplicity 8)  9 Fe 2.46-2.69

Final energy ... -6.822 eV/atom
ΔH_f (0 K) ... -121.1 meV/atom

No. 10
This record from the Materials Project database describes a geometry-optimized LaMgAl7Fe2 structure. The functional is PBE.

Lattice parameters (Å, degrees): 12.9846 14.4781 4.0204 90.00 90.00 90.00
With the nearest neighbours (Å) after each atom.
Space group Pbam (No. 55)
Asymmetric unit:
La: 0.1604 0.1808 0.0000 (multiplicity 4)  13 Al 3.22-3.46
Mg: 0.1677 0.4524 0.0000 (multiplicity 4)  3 Fe 2.62-2.69
Al: 0.0000 0.0000 0.0000 (multiplicity 2)  2 Fe 2.32
Al: 0.0000 0.5000 0.5000 (multiplicity 2)  4 Fe 2.45, 4 Al 2.65-2.67
Al: 0.0260 0.8670 0.5000 (multiplicity 4)  2 Fe 2.54, 6 Al 2.70-2.82
Al: 0.0474 0.3221 0.5000 (multiplicity 4)  2 Fe 2.59, 6 Al 2.65-2.90
Al: 0.0932 0.7447 0.0000 (multiplicity 4)  2 Fe 2.32-2.35
Al: 0.1565 0.6200 0.5000 (multiplicity 4)  2 Fe 2.60, 5 Al 2.67-2.85
Al: 0.1654 0.0053 0.5000 (multiplicity 4)  2 Fe 2.55, 3 Al 2.70-2.85
Al: 0.2292 0.8274 0.5000 (multiplicity 4)  2 Fe 2.55, 2 Al 2.70-2.71
Fe: 0.0338 0.5914 0.0000 (multiplicity 4)  7 Al 2.35-2.60
Fe: 0.1395 0.8996 0.0000 (multiplicity 4)  8 Al 2.32-2.55

Final energy ... -4.888 eV/atom
ΔH_f (0 K) ... -370.1 meV/atom

No. 11
This record from the Materials Project database describes a geometry-optimized La3AlFeS7 structure. The functional is PBE.

Lattice parameters (Å, degrees): 10.2258 10.2258 5.9954 90.00 90.00 120.00
With the nearest neighbours (Å) after each atom.
Space group P6_3 (No. 173)
Asymmetric unit:
La: 0.1422 0.7666 0.0000 (multiplicity 6)  7 S 2.87-3.04
Al: 0.3333 0.6667 0.5804 (multiplicity 2)  4 S 2.22-2.26
Fe: 0.0000 0.0000 0.2224 (multiplicity 2)  6 S 2.51-2.61
S: 0.0890 0.8569 0.4586 (multiplicity 6)  2 Fe 2.51-2.61
S: 0.0998 0.5193 0.7247 (multiplicity 6)  1 Al 2.26
S: 0.3333 0.6667 0.2106 (multiplicity 2)  1 Al 2.22

Final energy ... -6.323 eV/atom
ΔH_f (0 K) ... -1951.0 meV/atom

No. 12
This record from the Materials Project database describes a geometry-optimized LuAlFe structure. The functional is PBE.

Lattice parameters (Å, degrees): 8.5382 5.2974 9.0116 90.00 90.00 90.00
With the nearest neighbours (Å) after each atom.
Space group Amm2 (No. 38)
Asymmetric unit:
Lu: 0.1760 0.0000 0.0000 (multiplicity 4)  5 Al 2.97-3.15, 4 Lu 3.01-3.22, 7 Fe 3.01-3.14
Lu: 0.3032 0.0000 0.3359 (multiplicity 4)  5 Fe 2.95-3.14, 7 Al 3.08-3.13, 3 Lu 3.22
Al: 0.2351 0.0000 0.6749 (multiplicity 4)  4 Fe 2.57-2.69, 2 Al 2.76
Al: 0.5000 0.2471 0.0816 (multiplicity 4)  2 Fe 2.57-2.66, 4 Al 2.62-2.76
Fe: 0.0000 0.0000 0.4955 (multiplicity 2)  4 Fe 2.48-2.75, 2 Al 2.58
Fe: 0.0000 0.2322 0.2570 (multiplicity 4)  3 Fe 2.46-2.75, 2 Al 2.57
Fe: 0.5000 0.0000 0.8363 (multiplicity 2)  6 Al 2.57-2.69

Final energy ... -5.928 eV/atom
ΔH_f (0 K) ... -349.6 meV/atom